This record from the Materials Project database describes a relaxed structure of GaAsO4. The functional is meta-GGA r2SCAN.

a = 4.975 Å, b = 4.975 Å, c = 7.142 Å
α = 90.00°, β = 90.00°, γ = 89.80°
Element x y z (fractional)
O  0.276  0.665  0.470
O  0.665  0.276  0.530
As  0.668  0.668  0.000
O  0.724  0.335  0.970
Ga  0.172  0.828  0.250
O  0.224  0.186  0.300
O  0.776  0.814  0.800
O  0.335  0.724  0.030
As  0.332  0.332  0.500
O  0.186  0.224  0.700
O  0.814  0.776  0.200
Ga  0.828  0.172  0.750

Output
* magnetization: 0.00 μB per formula unit
* volume: 88.4 Å³/f.u.
* energy of formation: -1.6305 eV/atom
* symmetry: C222_1
* raw total energy: -9.971 eV per atom